[1]
# Ga4Bi2O9

A geometry-optimized Ga4Bi2O9 structure (GGA-PBE, Materials Project).

```
Ga4Bi2O9
1.0
7.822 0.000 0.000
0.000 8.532 0.000
0.000 0.000 11.999
Ga O Bi
16 36 8
direct
0.484 0.496 0.871
0.516 0.504 0.371
0.016 0.996 0.871
0.516 0.504 0.129
0.648 0.150 0.750
0.484 0.496 0.629
0.148 0.350 0.250
0.852 0.650 0.750
0.365 0.820 0.750
0.352 0.850 0.250
0.984 0.004 0.371
0.865 0.680 0.250
0.135 0.320 0.750
0.016 0.996 0.629
0.984 0.004 0.129
0.635 0.180 0.250
0.156 0.939 0.491
0.655 0.580 0.250
0.156 0.939 0.009
0.845 0.080 0.250
0.141 0.202 0.883
0.859 0.798 0.383
0.155 0.920 0.750
0.951 0.454 0.750
0.383 0.401 0.250
0.359 0.702 0.617
0.105 0.221 0.376
0.895 0.779 0.876
0.345 0.420 0.750
0.641 0.298 0.383
0.656 0.561 0.509
0.359 0.702 0.883
0.049 0.546 0.250
0.617 0.599 0.750
0.859 0.798 0.117
0.883 0.099 0.750
0.605 0.279 0.876
0.641 0.298 0.117
0.344 0.439 0.491
0.549 0.954 0.750
0.605 0.279 0.624
0.117 0.901 0.250
0.451 0.046 0.250
0.656 0.561 0.991
0.344 0.439 0.009
0.105 0.221 0.124
0.844 0.061 0.991
0.141 0.202 0.617
0.895 0.779 0.624
0.395 0.721 0.376
0.844 0.061 0.509
0.395 0.721 0.124
0.330 0.178 0.482
0.330 0.178 0.018
0.830 0.322 0.518
0.670 0.822 0.982
0.170 0.678 0.482
0.830 0.322 0.982
0.670 0.822 0.518
0.170 0.678 0.018
```

offset from the most stable computed form = 6 meV/atom
calculated volume = 200.2 Å³/f.u.
magnetic moment = 0.001 μB per cell
ΔE_f = -2.0675 eV per atom

[2]
# Sr2GaBiO6

A geometry-optimized Sr2GaBiO6 structure (GGA-PBE, Materials Project).

```
Sr2GaBiO6
1.0
0.000 -4.094 -4.094
4.094 0.000 -4.094
4.094 -4.094 0.000
Bi O Sr Ga
1 6 2 1
direct
0.000 0.000 0.000
0.743 0.257 0.743
0.743 0.257 0.257
0.257 0.743 0.257
0.257 0.257 0.743
0.743 0.743 0.257
0.257 0.743 0.743
0.750 0.750 0.750
0.250 0.250 0.250
0.500 0.500 0.500
```

calculated volume = 137.2 Å³/f.u.
magnetic moment = 0.000 μB per cell
ΔE_f = -2.3280 eV per atom

[3]
# GaBiS

A geometry-optimized GaBiS structure (GGA-PBE, Materials Project).

```
GaBiS
1.0
-1.211 -9.434 -2.284
1.830 -3.447 -7.680
5.996 -6.095 1.050
Ga Bi S
4 4 4
direct
0.250 0.000 0.500
0.250 0.500 0.000
0.750 0.500 0.000
0.750 0.000 0.500
0.616 0.500 0.769
0.884 0.500 0.231
0.116 0.769 0.500
0.384 0.231 0.500
0.609 0.783 0.500
0.109 0.500 0.783
0.391 0.500 0.217
0.891 0.217 0.500
```

calculated volume = 123.0 Å³/f.u.
magnetic moment = 0.001 μB per cell
ΔE_f = 0.0525 eV per atom

Which formula does entry 2 have?
Sr2GaBiO6

The lowest calculated volume belongs to which entry?
GaBiS

Among the records above, which one has the highest calculated volume?
Ga4Bi2O9